Record 1
First-principles (PBE-GGA) data for a relaxed structure of Rb3SmF6, as listed in the Materials Project.

abc: 9.855 9.855 9.855
angles: 90.00 90.00 90.00
Space group Fm-3m (No. 225)
One atom of each set of equivalent atoms:
1 Rb 0.000 0.000 0.000 x4
2 Rb 0.250 0.250 0.250 x8
3 Sm 0.000 0.000 0.500 x4
4 F 0.000 0.000 0.272 x24

Output
- E_form (eV/atom) = -3.49
- magnetic moment (Bohr magnetons per cell) = 0.01
- crystal system = cubic


Record 2
First-principles (PBE-GGA) data for a relaxed structure of Rb3SmF6, as listed in the Materials Project.

abc: 7.389 7.389 9.683
angles: 90.00 90.00 90.00
Space group I4/mmm (No. 139)
One atom of each set of equivalent atoms:
1 Rb 0.000 0.000 0.000 x2
2 Rb 0.000 0.500 0.250 x4
3 Sm 0.000 0.000 0.500 x2
4 F 0.000 0.000 0.265 x4
5 F 0.000 0.305 0.500 x8

Output
- E_form (eV/atom) = -3.46
- magnetic moment (Bohr magnetons per cell) = 0.00
- crystal system = tetragonal


Record 3
First-principles (PBE-GGA) data for a relaxed structure of Rb2TaF7, as listed in the Materials Project.

abc: 5.911 6.083 10.705
angles: 90.00 90.00 90.00
Space group Pmmn (No. 59, origin choice 2)
One atom of each set of equivalent atoms:
1 Rb 0.250 0.250 0.000 x2
2 Rb 0.250 0.750 0.364 x2
3 Ta 0.250 0.750 0.756 x2
4 F 0.034 0.513 0.796 x8
5 F 0.046 0.750 0.610 x4
6 F 0.250 0.750 0.946 x2

Output
- E_form (eV/atom) = -3.50
- crystal system = orthorhombic


Record 4
First-principles (PBE-GGA) data for a relaxed structure of RbTbF5, as listed in the Materials Project.

abc: 7.739 8.858 11.469
angles: 77.07 74.44 69.44
Space group P-1 (No. 2)
One atom of each set of equivalent atoms:
1 Rb 0.224 0.499 0.266 x2
2 Rb 0.231 0.164 0.570 x2
3 Rb 0.260 0.836 0.921 x2
4 Tb 0.216 0.034 0.242 x2
5 Tb 0.228 0.339 0.947 x2
6 Tb 0.239 0.680 0.594 x2
7 F 0.080 0.240 0.359 x2
8 F 0.089 0.564 0.043 x2
9 F 0.107 0.895 0.704 x2
10 F 0.133 0.122 0.057 x2
11 F 0.150 0.826 0.195 x2
12 F 0.154 0.511 0.522 x2
13 F 0.190 0.203 0.811 x2
14 F 0.198 0.869 0.428 x2
15 F 0.222 0.531 0.779 x2
16 F 0.339 0.234 0.124 x2
17 F 0.455 0.036 0.335 x2
18 F 0.485 0.448 0.934 x2
19 F 0.488 0.743 0.621 x2
20 F 0.492 0.839 0.153 x2
21 F 0.495 0.575 0.422 x2

Output
- E_form (eV/atom) = -3.45
- magnetic moment (Bohr magnetons per cell) = 6.00
- crystal system = triclinic


Record 5
First-principles (PBE-GGA) data for a relaxed structure of RbTeF5, as listed in the Materials Project.

abc: 14.298 6.385 11.743
angles: 90.00 90.00 90.00
Space group Pnma (No. 62)
One atom of each set of equivalent atoms:
1 Rb 0.097 0.250 0.006 x4
2 Rb 0.100 0.750 0.338 x4
3 Te 0.076 0.750 0.714 x4
4 Te 0.241 0.250 0.538 x4
5 F 0.026 0.525 0.820 x8
6 F 0.054 0.250 0.327 x4
7 F 0.079 0.533 0.591 x8
8 F 0.124 0.750 0.017 x4
9 F 0.221 0.534 0.154 x8
10 F 0.246 0.524 0.919 x8

Output
- E_form (eV/atom) = -2.74
- crystal system = orthorhombic


Record 6
First-principles (PBE-GGA) data for a relaxed structure of Rb7Th6F32, as listed in the Materials Project.

abc: 9.793 9.796 9.798
angles: 106.62 106.66 106.59
Space group P-1 (No. 2)
One atom of each set of equivalent atoms:
1 Rb 0.000 0.000 0.000 x1
2 Rb 0.077 0.682 0.217 x2
3 Rb 0.218 0.077 0.683 x2
4 Rb 0.316 0.783 0.923 x2
5 Th 0.138 0.381 0.458 x2
6 Th 0.381 0.459 0.139 x2
7 Th 0.458 0.139 0.381 x2
8 F 0.027 0.219 0.553 x2
9 F 0.054 0.823 0.754 x2
10 F 0.056 0.525 0.642 x2
11 F 0.174 0.415 0.233 x2
12 F 0.177 0.247 0.946 x2
13 F 0.218 0.554 0.028 x2
14 F 0.234 0.175 0.415 x2
15 F 0.246 0.945 0.180 x2
16 F 0.300 0.652 0.542 x2
17 F 0.347 0.459 0.702 x2
18 F 0.358 0.945 0.477 x2
19 F 0.412 0.411 0.410 x2
20 F 0.414 0.233 0.173 x2
21 F 0.446 0.971 0.781 x2
22 F 0.458 0.702 0.346 x2
23 F 0.476 0.360 0.946 x2

Output
- E_form (eV/atom) = -4.00
- magnetic moment (Bohr magnetons per cell) = 1.01
- crystal system = triclinic


Record 7
First-principles (PBE-GGA) data for a relaxed structure of RbTh2F9, as listed in the Materials Project.

abc: 8.979 12.020 7.263
angles: 90.00 90.00 90.00
Space group Pnma (No. 62)
One atom of each set of equivalent atoms:
1 Rb 0.034 0.250 0.139 x4
2 Th 0.175 0.051 0.652 x8
3 F 0.006 0.596 0.574 x8
4 F 0.063 0.579 0.196 x8
5 F 0.178 0.250 0.661 x4
6 F 0.214 0.093 0.967 x8
7 F 0.221 0.603 0.852 x8

Output
- E_form (eV/atom) = -4.29
- magnetic moment (Bohr magnetons per cell) = 0.00
- crystal system = orthorhombic


Record 8
First-principles (PBE-GGA) data for a relaxed structure of Rb7Th6F32, as listed in the Materials Project.

abc: 9.793 9.796 9.798
angles: 106.62 106.66 106.59
Space group P1 (No. 1)
One atom of each set of equivalent atoms:
1 Rb 0.000 0.000 0.000 x1
2 Rb 0.074 0.682 0.217 x1
3 Rb 0.153 0.365 0.435 x1
4 Rb 0.294 0.760 0.901 x1
5 Rb 0.393 0.465 0.141 x1
6 Rb 0.759 0.899 0.294 x1
7 Rb 0.859 0.605 0.535 x1
8 Th 0.216 0.064 0.675 x1
9 Th 0.457 0.140 0.357 x1
10 Th 0.534 0.822 0.598 x1
11 Th 0.618 0.543 0.836 x1
12 Th 0.695 0.224 0.078 x1
13 Th 0.937 0.302 0.760 x1
14 F 0.021 0.158 0.576 x1
15 F 0.022 0.860 0.464 x1
16 F 0.049 0.464 0.665 x1
17 F 0.104 0.902 0.771 x1
18 F 0.130 0.505 0.972 x1
19 F 0.132 0.207 0.860 x1
20 F 0.249 0.097 0.450 x1
21 F 0.253 0.928 0.163 x1
22 F 0.294 0.235 0.245 x1
23 F 0.310 0.857 0.632 x1
24 F 0.322 0.628 0.395 x1
25 F 0.374 0.336 0.758 x1
26 F 0.423 0.141 0.920 x1
27 F 0.434 0.628 0.694 x1
28 F 0.488 0.094 0.627 x1
29 F 0.490 0.915 0.391 x1
30 F 0.522 0.653 0.999 x1
31 F 0.534 0.384 0.564 x1
32 F 0.553 0.040 0.164 x1
33 F 0.600 0.323 0.272 x1
34 F 0.617 0.980 0.870 x1
35 F 0.629 0.710 0.436 x1
36 F 0.657 0.272 0.811 x1
37 F 0.666 0.453 0.047 x1
38 F 0.717 0.737 0.740 x1
39 F 0.728 0.224 0.517 x1
40 F 0.776 0.031 0.676 x1
41 F 0.830 0.738 0.038 x1
42 F 0.840 0.505 0.801 x1
43 F 0.858 0.128 0.190 x1
44 F 0.899 0.435 0.272 x1
45 F 0.900 0.265 0.982 x1

Output
- E_form (eV/atom) = -4.00
- magnetic moment (Bohr magnetons per cell) = 1.00
- crystal system = triclinic


Record 9
First-principles (PBE-GGA) data for a relaxed structure of RbTlF4, as listed in the Materials Project.

abc: 8.451 6.339 8.627
angles: 90.00 90.00 90.00
Space group Pca2_1 (No. 29)
One atom of each set of equivalent atoms:
1 Rb 0.194 0.008 0.000 x4
2 Tl 0.007 0.500 0.752 x4
3 F 0.017 0.609 0.003 x4
4 F 0.064 0.803 0.320 x4
5 F 0.087 0.802 0.691 x4
6 F 0.243 0.361 0.243 x4

Output
- E_form (eV/atom) = -2.50
- magnetic moment (Bohr magnetons per cell) = 0.00
- crystal system = orthorhombic


Record 10
First-principles (PBE-GGA) data for a relaxed structure of Rb3TlF6, as listed in the Materials Project.

abc: 9.691 9.691 9.691
angles: 90.00 90.00 90.00
Space group Fm-3m (No. 225)
One atom of each set of equivalent atoms:
1 Rb 0.000 0.000 0.000 x4
2 Rb 0.250 0.250 0.250 x8
3 Tl 0.000 0.000 0.500 x4
4 F 0.000 0.000 0.274 x24

Output
- E_form (eV/atom) = -2.67
- crystal system = cubic


Record 11
First-principles (PBE-GGA) data for a relaxed structure of Rb3TlF6, as listed in the Materials Project.

abc: 7.000 7.000 9.807
angles: 90.00 90.00 90.00
Space group I4/mmm (No. 139)
One atom of each set of equivalent atoms:
1 Rb 0.000 0.000 0.000 x2
2 Rb 0.000 0.500 0.250 x4
3 Tl 0.000 0.000 0.500 x2
4 F 0.000 0.000 0.268 x4
5 F 0.000 0.310 0.500 x8

Output
- E_form (eV/atom) = -2.63
- magnetic moment (Bohr magnetons per cell) = 0.00
- crystal system = tetragonal


Record 12
First-principles (PBE-GGA) data for a relaxed structure of RbTlF4, as listed in the Materials Project.

abc: 6.454 8.472 8.564
angles: 90.00 90.00 90.00
Space group Pbcm (No. 57)
One atom of each set of equivalent atoms:
1 Rb 0.009 0.190 0.250 x4
2 Tl 0.500 0.000 0.000 x4
3 F 0.201 0.576 0.565 x8
4 F 0.367 0.250 0.000 x4
5 F 0.389 0.525 0.250 x4

Output
- E_form (eV/atom) = -2.50
- crystal system = orthorhombic


Which value of E_form does entry 1 give?
-3.49 eV/atom